(1)
Crystalline Na4MgMo4O10 at its relaxed geometry. Source: Materials Project, functional GGA+U.

Unit cell a=5.927 b=5.982 c=7.971 alpha=110.63 beta=109.47 gamma=91.59
Fractional coordinates of all 19 atoms:
O1 0.208 0.756 0.996
O2 0.689 0.731 0.924
O3 0.679 0.739 0.309
O4 0.704 0.313 0.516
O5 0.269 0.293 0.125
O6 0.275 0.286 0.690
O7 0.906 0.936 0.702
O8 0.737 0.256 0.012
O9 0.015 0.083 0.293
O10 0.171 0.638 0.495
Na1 0.405 0.940 0.770
Na2 0.889 0.406 0.837
Na3 0.572 0.045 0.161
Na4 0.077 0.655 0.207
Mo1 0.971 0.002 0.002
Mo2 0.328 0.329 0.449
Mo3 0.844 0.603 0.497
Mo4 0.474 0.505 0.000
Mg1 0.943 0.077 0.516

Computed properties:
- Relative energy among the computed polymorphs: 0.0261 eV/atom
- Space group: P1
- E: -6.045 eV per atom
- V: 12.9 Å³ per atom



(2)
Crystalline Na4MgMo4O10 at its relaxed geometry. Source: Materials Project, functional GGA+U.

Unit cell a=6.133 b=5.519 c=7.968 alpha=110.32 beta=108.20 gamma=90.87
Fractional coordinates of all 19 atoms:
O1 0.883 0.090 0.506
O2 0.980 0.722 0.697
O3 0.237 0.251 0.943
O4 0.319 0.883 0.456
O5 0.908 0.704 0.070
O6 0.735 0.102 0.879
O7 0.121 0.283 0.268
O8 0.348 0.799 0.050
O9 0.595 0.546 0.284
O10 0.467 0.457 0.692
Mo1 0.048 0.975 0.985
Mo2 0.186 0.221 0.505
Mo3 0.561 0.483 0.986
Mo4 0.674 0.836 0.565
Na1 0.361 0.869 0.780
Na2 0.636 0.123 0.237
Na3 0.969 0.660 0.376
Na4 0.892 0.398 0.778
Mg1 0.249 0.583 0.184

Computed properties:
- Relative energy among the computed polymorphs: 0.0000 eV/atom
- Space group: P1
- E: -6.071 eV per atom
- V: 12.5 Å³ per atom



(3)
Crystalline Na4MgMo4O10 at its relaxed geometry. Source: Materials Project, functional GGA+U.

Unit cell a=5.635 b=5.923 c=8.681 alpha=108.59 beta=109.21 gamma=91.04
Fractional coordinates of all 19 atoms:
Mo1 0.852 0.644 0.495
Mo2 0.511 0.504 0.992
Mo3 0.256 0.407 0.510
Mo4 0.022 0.039 0.007
O1 0.245 0.744 0.520
O2 0.778 0.290 0.918
O3 0.725 0.628 0.265
O4 0.255 0.742 0.026
O5 0.102 0.149 0.288
O6 0.948 0.835 0.736
O7 0.348 0.258 0.047
O8 0.649 0.395 0.542
O9 0.722 0.761 0.957
O10 0.248 0.366 0.725
Na1 0.632 0.081 0.231
Na2 0.389 0.930 0.827
Na3 0.602 0.055 0.625
Na4 0.111 0.712 0.230
Mg1 0.930 0.523 0.824

Computed properties:
- Relative energy among the computed polymorphs: 0.0259 eV/atom
- Space group: P1
- E: -6.045 eV per atom
- V: 13.5 Å³ per atom



(4)
Crystalline Na4MgMo4O10 at its relaxed geometry. Source: Materials Project, functional GGA+U.

Unit cell a=6.089 b=5.983 c=8.467 alpha=112.41 beta=111.07 gamma=90.00
Fractional coordinates of all 19 atoms:
Mo1 0.541 0.500 0.000
Mo2 0.675 0.827 0.508
Mo3 0.168 0.173 0.492
Mo4 0.053 0.000 0.000
O1 0.358 0.814 0.061
O2 0.176 0.251 0.295
O3 0.881 0.749 0.705
O4 0.394 0.437 0.705
O5 0.342 0.881 0.480
O6 0.688 0.562 0.295
O7 0.765 0.212 0.946
O8 0.297 0.186 0.939
O9 0.861 0.119 0.520
O10 0.819 0.788 0.054
Na1 0.560 0.245 0.342
Na2 0.217 0.755 0.658
Na3 0.090 0.573 0.198
Na4 0.892 0.427 0.802
Mg1 0.575 0.000 0.000

Computed properties:
- Relative energy among the computed polymorphs: 0.0463 eV/atom
- Space group: C2
- E: -6.025 eV per atom
- V: 13.8 Å³ per atom



(5)
Crystalline Rb3NaMgMo2O8 at its relaxed geometry. Source: Materials Project, functional GGA+U.

Unit cell a=7.175 b=6.238 c=7.995 alpha=89.98 beta=80.79 gamma=115.77
Fractional coordinates of all 15 atoms:
Mg1 0.000 0.500 0.500
Mo1 0.350 0.675 0.212
Mo2 0.650 0.325 0.788
O1 0.183 0.804 0.355
O2 0.817 0.621 0.645
O3 0.183 0.379 0.355
O4 0.385 0.192 0.739
O5 0.303 0.652 0.997
O6 0.615 0.808 0.261
O7 0.697 0.348 0.003
O8 0.817 0.196 0.645
Na1 0.000 0.000 0.500
Rb1 0.541 0.271 0.343
Rb2 0.459 0.729 0.657
Rb3 0.000 0.000 0.000

Computed properties:
- Relative energy among the computed polymorphs: 0.0000 eV/atom
- Space group: C2/m
- E: -5.714 eV per atom
- V: 21.1 Å³ per atom



(6)
Crystalline Rb3NaMgMo2O8 at its relaxed geometry. Source: Materials Project, functional GGA+U.

Unit cell a=6.269 b=6.269 c=8.942 alpha=90.00 beta=89.99 gamma=120.00
Fractional coordinates of all 15 atoms:
O1 0.333 0.667 0.998
O2 0.171 0.829 0.311
O3 0.355 0.177 0.709
O4 0.823 0.177 0.709
O5 0.659 0.829 0.311
O6 0.667 0.333 0.979
O7 0.823 0.645 0.709
O8 0.171 0.341 0.311
Rb1 0.667 0.333 0.321
Rb2 0.333 0.667 0.628
Rb3 0.000 0.000 0.941
Mg1 0.000 0.000 0.279
Mo1 0.667 0.333 0.781
Mo2 0.333 0.667 0.202
Na1 0.000 0.000 0.577

Computed properties:
- Relative energy among the computed polymorphs: 0.0331 eV/atom
- Space group: P3m1
- E: -5.681 eV per atom
- V: 20.3 Å³ per atom



(7)
Crystalline Mg2Mo3O8 at its relaxed geometry. Source: Materials Project, functional GGA+U.

Unit cell a=6.280 b=6.280 c=9.491 alpha=90.00 beta=90.00 gamma=120.00
Fractional coordinates of all 26 atoms:
O1 0.170 0.340 0.353
O2 0.830 0.170 0.853
O3 0.333 0.667 0.877
O4 0.481 0.962 0.631
O5 0.481 0.519 0.631
O6 0.519 0.481 0.131
O7 0.830 0.660 0.853
O8 0.667 0.333 0.377
O9 0.340 0.170 0.853
O10 0.170 0.830 0.353
O11 0.660 0.830 0.353
O12 0.000 0.000 0.643
O13 0.000 0.000 0.143
O14 0.962 0.481 0.131
O15 0.519 0.038 0.131
O16 0.038 0.519 0.631
Mo1 0.836 0.164 0.257
Mo2 0.836 0.672 0.257
Mo3 0.328 0.164 0.257
Mo4 0.164 0.328 0.757
Mo5 0.164 0.836 0.757
Mo6 0.672 0.836 0.757
Mg1 0.333 0.667 0.474
Mg2 0.667 0.333 0.974
Mg3 0.667 0.333 0.586
Mg4 0.333 0.667 0.086

Computed properties:
- Relative energy among the computed polymorphs: 0.0000 eV/atom
- Space group: P6_3mc
- E: -6.925 eV per atom
- V: 12.5 Å³ per atom



(8)
Crystalline MgMoO9 at its relaxed geometry. Source: Materials Project, functional GGA+U.

Unit cell a=5.856 b=5.926 c=10.584 alpha=84.78 beta=84.29 gamma=83.93
Fractional coordinates of all 22 atoms:
Mo1 0.989 0.228 0.679
Mo2 0.011 0.772 0.321
O1 0.781 0.316 0.126
O2 0.513 0.856 0.616
O3 0.590 0.934 0.996
O4 0.219 0.684 0.874
O5 0.235 0.369 0.612
O6 0.412 0.581 0.881
O7 0.523 0.952 0.713
O8 0.028 0.789 0.143
O9 0.487 0.144 0.384
O10 0.477 0.048 0.287
O11 0.725 0.369 0.625
O12 0.410 0.066 0.004
O13 0.275 0.631 0.375
O14 0.022 0.948 0.638
O15 0.765 0.631 0.388
O16 0.588 0.419 0.119
O17 0.972 0.211 0.857
O18 0.978 0.052 0.362
Mg1 0.000 0.000 0.000
Mg2 0.500 0.500 0.500

Computed properties:
- Space group: P-1
- E: -5.780 eV per atom
- V: 16.5 Å³ per atom



(9)
Crystalline MgMo2O4 at its relaxed geometry. Source: Materials Project, functional GGA+U.

Unit cell a=6.286 b=6.286 c=20.985 alpha=81.98 beta=81.98 gamma=61.45
Fractional coordinates of all 56 atoms:
O1 0.926 0.926 0.187
O2 0.026 0.575 0.317
O3 0.420 0.953 0.686
O4 0.953 0.420 0.686
O5 0.812 0.812 0.067
O6 0.331 0.793 0.060
O7 0.152 0.723 0.441
O8 0.213 0.683 0.935
O9 0.163 0.163 0.441
O10 0.687 0.687 0.935
O11 0.291 0.816 0.565
O12 0.934 0.934 0.677
O13 0.683 0.213 0.935
O14 0.816 0.291 0.565
O15 0.723 0.152 0.441
O16 0.473 0.926 0.184
O17 0.685 0.685 0.437
O18 0.451 0.451 0.171
O19 0.091 0.540 0.813
O20 0.301 0.301 0.570
O21 0.331 0.331 0.060
O22 0.427 0.427 0.684
O23 0.566 0.566 0.819
O24 0.809 0.809 0.564
O25 0.577 0.577 0.311
O26 0.793 0.331 0.060
O27 0.575 0.026 0.317
O28 0.540 0.091 0.813
O29 0.076 0.076 0.819
O30 0.197 0.197 0.933
O31 0.926 0.473 0.184
O32 0.055 0.055 0.324
Mo1 0.640 0.640 0.533
Mo2 0.363 0.869 0.378
Mo3 0.613 0.119 0.623
Mo4 0.110 0.110 0.190
Mo5 0.506 0.506 0.994
Mo6 0.248 0.248 0.749
Mo7 0.897 0.897 0.780
Mo8 0.882 0.380 0.876
Mo9 0.119 0.613 0.623
Mo10 0.391 0.391 0.312
Mo11 0.632 0.128 0.124
Mo12 0.153 0.153 0.046
Mo13 0.358 0.358 0.448
Mo14 0.380 0.882 0.876
Mo15 0.869 0.363 0.378
Mo16 0.128 0.632 0.124
Mg1 0.854 0.854 0.967
Mg2 0.595 0.595 0.721
Mg3 0.383 0.383 0.876
Mg4 0.632 0.632 0.124
Mg5 0.994 0.994 0.502
Mg6 0.751 0.751 0.252
Mg7 0.873 0.873 0.377
Mg8 0.121 0.121 0.627

Computed properties:
- Relative energy among the computed polymorphs: 0.1835 eV/atom
- Space group: Cm
- E: -6.820 eV per atom
- V: 12.8 Å³ per atom



(10)
Crystalline MgMo2O4 at its relaxed geometry. Source: Materials Project, functional GGA+U.

Unit cell a=6.429 b=6.429 c=6.429 alpha=123.72 beta=123.11 gamma=84.18
Fractional coordinates of all 14 atoms:
Mo1 0.000 0.500 0.500
Mo2 0.500 0.500 0.000
Mo3 0.379 0.129 0.250
Mo4 0.621 0.871 0.750
O1 0.222 0.726 0.496
O2 0.222 0.220 0.498
O3 0.778 0.780 0.502
O4 0.269 0.274 0.996
O5 0.778 0.274 0.504
O6 0.222 0.724 0.002
O7 0.731 0.726 0.004
O8 0.778 0.276 0.998
Mg1 0.000 0.500 0.000
Mg2 0.000 0.000 0.500

Computed properties:
- Relative energy among the computed polymorphs: 0.1726 eV/atom
- Space group: Imma
- E: -6.831 eV per atom
- V: 12.7 Å³ per atom



(11)
Crystalline Mg2Mo3O8 at its relaxed geometry. Source: Materials Project, functional GGA+U.

Unit cell a=6.174 b=6.174 c=5.260 alpha=72.16 beta=72.16 gamma=59.02
Fractional coordinates of all 13 atoms:
O1 0.383 0.383 0.926
O2 0.114 0.649 0.413
O3 0.617 0.617 0.074
O4 0.649 0.114 0.413
O5 0.109 0.109 0.071
O6 0.351 0.886 0.587
O7 0.886 0.351 0.587
O8 0.891 0.891 0.929
Mg1 0.721 0.721 0.351
Mg2 0.279 0.279 0.649
Mo1 0.733 0.267 0.000
Mo2 0.000 0.000 0.500
Mo3 0.267 0.733 0.000

Computed properties:
- Relative energy among the computed polymorphs: 0.0797 eV/atom
- Space group: C2/m
- E: -6.845 eV per atom
- V: 12.4 Å³ per atom



(12)
Crystalline MgMoO4 at its relaxed geometry. Source: Materials Project, functional GGA+U.

Unit cell a=7.034 b=7.034 c=7.119 alpha=77.78 beta=77.78 gamma=84.28
Fractional coordinates of all 24 atoms:
O1 0.711 0.022 0.028
O2 0.390 0.696 0.695
O3 0.022 0.711 0.028
O4 0.359 0.359 0.039
O5 0.716 0.002 0.608
O6 0.289 0.978 0.972
O7 0.610 0.304 0.305
O8 0.641 0.641 0.961
O9 0.297 0.297 0.647
O10 0.703 0.703 0.353
O11 0.002 0.716 0.608
O12 0.304 0.610 0.305
O13 0.998 0.284 0.392
O14 0.978 0.289 0.972
O15 0.696 0.390 0.695
O16 0.284 0.998 0.392
Mo1 0.751 0.249 0.500
Mo2 0.249 0.751 0.500
Mo3 0.229 0.229 0.906
Mo4 0.771 0.771 0.094
Mg1 0.701 0.701 0.642
Mg2 0.680 0.320 0.000
Mg3 0.299 0.299 0.358
Mg4 0.320 0.680 0.000

Computed properties:
- Space group: C2/m
- E: -6.793 eV per atom
- V: 14.0 Å³ per atom



(13)
Crystalline MgMo4O9 at its relaxed geometry. Source: Materials Project, functional GGA+U.

Unit cell a=8.789 b=8.789 c=5.009 alpha=90.00 beta=90.00 gamma=90.00
Fractional coordinates of all 28 atoms:
Mo1 0.789 0.097 0.659
Mo2 0.097 0.211 0.341
Mo3 0.597 0.711 0.659
Mo4 0.403 0.289 0.659
Mo5 0.711 0.403 0.341
Mo6 0.289 0.597 0.341
Mo7 0.211 0.903 0.659
Mo8 0.903 0.789 0.341
O1 0.798 0.610 0.519
O2 0.702 0.890 0.481
O3 0.500 0.500 0.500
O4 0.954 0.723 0.009
O5 0.110 0.702 0.519
O6 0.890 0.298 0.519
O7 0.777 0.454 0.009
O8 0.546 0.777 0.991
O9 0.390 0.798 0.481
O10 0.223 0.546 0.009
O11 0.046 0.277 0.009
O12 0.454 0.223 0.991
O13 0.000 0.000 0.500
O14 0.298 0.110 0.481
O15 0.277 0.954 0.991
O16 0.610 0.202 0.481
O17 0.723 0.046 0.991
O18 0.202 0.390 0.519
Mg1 0.000 0.500 0.857
Mg2 0.500 0.000 0.143

Computed properties:
- Space group: P4/n
- E: -6.799 eV per atom
- V: 13.8 Å³ per atom



(14)
Crystalline MgMo2O4 at its relaxed geometry. Source: Materials Project, functional GGA+U.

Unit cell a=6.263 b=6.429 c=15.231 alpha=89.30 beta=88.71 gamma=61.20
Fractional coordinates of all 42 atoms:
O1 0.133 0.685 0.413
O2 0.339 0.348 0.091
O3 0.648 0.215 0.918
O4 0.481 0.007 0.745
O5 0.172 0.176 0.423
O6 0.831 0.838 0.093
O7 0.673 0.144 0.414
O8 0.822 0.834 0.570
O9 0.672 0.685 0.419
O10 0.872 0.300 0.583
O11 0.489 0.502 0.240
O12 0.346 0.821 0.091
O13 0.301 0.875 0.578
O14 0.821 0.352 0.092
O15 0.517 0.495 0.756
O16 0.990 0.982 0.246
O17 0.322 0.320 0.577
O18 0.023 0.012 0.753
O19 0.961 0.539 0.246
O20 0.213 0.627 0.914
O21 0.023 0.466 0.750
O22 0.179 0.150 0.909
O23 0.525 0.964 0.247
O24 0.671 0.629 0.910
Mg1 0.822 0.838 0.332
Mg2 0.498 0.003 0.503
Mg3 0.160 0.668 0.166
Mg4 0.849 0.324 0.833
Mg5 0.172 0.163 0.663
Mg6 0.179 0.168 0.042
Mo1 0.125 0.189 0.290
Mo2 0.344 0.323 0.831
Mo3 0.991 0.002 0.499
Mo4 0.346 0.824 0.833
Mo5 0.662 0.164 0.169
Mo6 0.827 0.849 0.936
Mo7 0.505 0.503 0.006
Mo8 0.658 0.673 0.166
Mo9 0.849 0.823 0.743
Mo10 0.994 0.506 0.503
Mo11 0.501 0.498 0.394
Mo12 0.493 0.513 0.615

Computed properties:
- Relative energy among the computed polymorphs: 0.1921 eV/atom
- Space group: P1
- E: -6.811 eV per atom
- V: 12.8 Å³ per atom